Record 1
This record from the Materials Project database describes Zr2FeS4 after structural relaxation. The functional is PBE.

The structure in CIF format:
```
data_Zr2FeS4
_cell_length_a 13.551
_cell_length_b 3.682
_cell_length_c 6.322
_cell_angle_alpha 90.00
_cell_angle_beta 117.73
_cell_angle_gamma 90.00
_space_group_name_H-M_alt 'C 1 m 1'
_space_group_IT_number 8
loop_
_space_group_symop_operation_xyz
'x,y,z'
'x,-y,z'
'x+1/2,y+1/2,z'
'x+1/2,-y+1/2,z'
loop_
_atom_site_label
_atom_site_type_symbol
_atom_site_fract_x
_atom_site_fract_y
_atom_site_fract_z
Zr1 Zr 0.000 0.000 0.000
Zr2 Zr 0.004 0.500 0.485
Fe1 Fe 0.323 0.000 0.976
S1 S 0.128 0.500 0.283
S2 S 0.129 0.000 0.780
S3 S 0.371 0.500 0.199
S4 S 0.379 0.000 0.693
```

calculated volume = 279.2 Å³ per cell
total DFT energy (no corrections) = -7.301 eV per atom
formation energy from the elements = -1.572 eV/atom

Record 2
This record from the Materials Project database describes NaAgI2O3 after structural relaxation. The functional is PBE.

The structure in CIF format:
```
data_NaAgI2O3
_cell_length_a 8.021
_cell_length_b 8.855
_cell_length_c 21.321
_cell_angle_alpha 90.00
_cell_angle_beta 90.00
_cell_angle_gamma 90.00
_space_group_name_H-M_alt 'P b c a'
_space_group_IT_number 61
loop_
_space_group_symop_operation_xyz
'x,y,z'
'-x,-y,-z'
'-x+1/2,-y,z+1/2'
'x+1/2,y,-z+1/2'
'x+1/2,-y+1/2,-z'
'-x+1/2,y+1/2,z'
'-x,y+1/2,-z+1/2'
'x,-y+1/2,z+1/2'
loop_
_atom_site_label
_atom_site_type_symbol
_atom_site_fract_x
_atom_site_fract_y
_atom_site_fract_z
Na1 Na 0.175 0.107 0.114
Ag1 Ag 0.105 0.579 0.766
I1 I 0.084 0.220 0.488
I2 I 0.127 0.617 0.289
O1 O 0.037 0.742 0.438
O2 O 0.189 0.637 0.562
O3 O 0.249 0.644 0.622
```

calculated volume = 1514.2 Å³ per cell
spin magnetization = 0.00 μB per formula unit
total DFT energy (no corrections) = -3.447 eV per atom
formation energy from the elements = -0.366 eV/atom

Record 3
This record from the Materials Project database describes ReAu3 after structural relaxation. The functional is PBE.

The structure in CIF format:
```
data_ReAu3
_cell_length_a 4.209
_cell_length_b 4.209
_cell_length_c 7.740
_cell_angle_alpha 90.00
_cell_angle_beta 90.00
_cell_angle_gamma 90.00
_space_group_name_H-M_alt 'I 4/m m m'
_space_group_IT_number 139
_space_group_name_Hall '-I 4 2'
loop_
_atom_site_label
_atom_site_type_symbol
_atom_site_fract_x
_atom_site_fract_y
_atom_site_fract_z
Re1 Re 0.000 0.000 0.000
Au1 Au 0.000 0.000 0.500
Au2 Au 0.000 0.500 0.250
```

calculated volume = 137.1 Å³ per cell
spin magnetization = 0.07 μB per formula unit
total DFT energy (no corrections) = -4.911 eV per atom
formation energy from the elements = 0.655 eV/atom

Record 4
This record from the Materials Project database describes PmGeAu2 after structural relaxation. The functional is PBE.

The structure in CIF format:
```
data_PmGeAu2
_cell_length_a 7.029
_cell_length_b 7.029
_cell_length_c 7.029
_cell_angle_alpha 90.00
_cell_angle_beta 90.00
_cell_angle_gamma 90.00
_space_group_name_H-M_alt 'F m -3 m'
_space_group_IT_number 225
_space_group_name_Hall '-F 4 2 3'
loop_
_atom_site_label
_atom_site_type_symbol
_atom_site_fract_x
_atom_site_fract_y
_atom_site_fract_z
Pm1 Pm 0.000 0.000 0.000
Ge1 Ge 0.000 0.000 0.500
Au1 Au 0.250 0.250 0.250
```

calculated volume = 347.3 Å³ per cell
total DFT energy (no corrections) = -4.540 eV per atom
formation energy from the elements = -0.559 eV/atom

Record 5
This record from the Materials Project database describes Li2H12C8N2O13 after structural relaxation. The functional is PBE.

The structure in CIF format:
```
data_Li2H12C8N2O13
_cell_length_a 7.290
_cell_length_b 11.858
_cell_length_c 9.103
_cell_angle_alpha 90.00
_cell_angle_beta 107.20
_cell_angle_gamma 90.00
_space_group_name_H-M_alt 'P 1 21/m 1'
_space_group_IT_number 11
loop_
_space_group_symop_operation_xyz
'x,y,z'
'-x,-y,-z'
'-x,y+1/2,-z'
'x,-y+1/2,z'
loop_
_atom_site_label
_atom_site_type_symbol
_atom_site_fract_x
_atom_site_fract_y
_atom_site_fract_z
Li1 Li 0.109 0.250 0.437
Li2 Li 0.349 0.750 0.548
H1 H 0.024 0.685 0.345
H2 H 0.068 0.038 0.348
H3 H 0.126 0.683 0.842
H4 H 0.240 0.035 0.497
H5 H 0.332 0.551 0.093
H6 H 0.486 0.184 0.656
C1 C 0.173 0.050 0.909
C2 C 0.261 0.152 0.009
C3 C 0.395 0.151 0.158
C4 C 0.495 0.053 0.261
N1 N 0.200 0.250 0.941
N2 N 0.456 0.250 0.225
O1 O 0.060 0.067 0.778
O2 O 0.064 0.750 0.416
O3 O 0.076 0.750 0.779
O4 O 0.161 0.087 0.421
O5 O 0.220 0.550 0.963
O6 O 0.381 0.577 0.617
O7 O 0.448 0.549 0.215
O8 O 0.468 0.250 0.588
```

calculated volume = 751.7 Å³ per cell
spin magnetization = 0.00 μB per formula unit
total DFT energy (no corrections) = -6.331 eV per atom
formation energy from the elements = -1.184 eV/atom

Record 6
This record from the Materials Project database describes Ba2NdAlO5 after structural relaxation. The functional is PBE.

The structure in CIF format:
```
data_Ba2NdAlO5
_cell_length_a 7.434
_cell_length_b 6.220
_cell_length_c 7.621
_cell_angle_alpha 90.00
_cell_angle_beta 117.77
_cell_angle_gamma 90.00
_space_group_name_H-M_alt 'P 1 21 1'
_space_group_IT_number 4
loop_
_space_group_symop_operation_xyz
'x,y,z'
'-x,y+1/2,-z'
loop_
_atom_site_label
_atom_site_type_symbol
_atom_site_fract_x
_atom_site_fract_y
_atom_site_fract_z
Ba1 Ba 0.136 0.000 0.396
Ba2 Ba 0.308 0.504 0.144
Nd1 Nd 0.402 0.499 0.664
Al1 Al 0.168 0.987 0.836
O1 O 0.093 0.520 0.344
O2 O 0.225 0.012 0.090
O3 O 0.235 0.723 0.793
O4 O 0.305 0.184 0.775
O5 O 0.499 0.762 0.512
```

calculated volume = 311.8 Å³ per cell
spin magnetization = 0.00 μB per formula unit
total DFT energy (no corrections) = -7.087 eV per atom
formation energy from the elements = -3.347 eV/atom

Record 7
This record from the Materials Project database describes Li2HgGe after structural relaxation. The functional is PBE.

The structure in CIF format:
```
data_Li2HgGe
_cell_length_a 6.474
_cell_length_b 6.474
_cell_length_c 6.474
_cell_angle_alpha 90.00
_cell_angle_beta 90.00
_cell_angle_gamma 90.00
_space_group_name_H-M_alt 'F m -3 m'
_space_group_IT_number 225
_space_group_name_Hall '-F 4 2 3'
loop_
_atom_site_label
_atom_site_type_symbol
_atom_site_fract_x
_atom_site_fract_y
_atom_site_fract_z
Li1 Li 0.250 0.250 0.250
Hg1 Hg 0.000 0.000 0.000
Ge1 Ge 0.000 0.000 0.500
```

calculated volume = 271.4 Å³ per cell
spin magnetization = 0.00 μB per formula unit
total DFT energy (no corrections) = -2.461 eV per atom
formation energy from the elements = -0.275 eV/atom

Record 8
This record from the Materials Project database describes SrSm2O4 after structural relaxation. The functional is PBE.

The structure in CIF format:
```
data_SrSm2O4
_cell_length_a 10.352
_cell_length_b 3.522
_cell_length_c 12.260
_cell_angle_alpha 90.00
_cell_angle_beta 90.00
_cell_angle_gamma 90.00
_space_group_name_H-M_alt 'P n m a'
_space_group_IT_number 62
loop_
_space_group_symop_operation_xyz
'x,y,z'
'-x,-y,-z'
'-x+1/2,-y,z+1/2'
'x+1/2,y,-z+1/2'
'x+1/2,-y+1/2,-z+1/2'
'-x+1/2,y+1/2,z+1/2'
'-x,y+1/2,-z'
'x,-y+1/2,z'
loop_
_atom_site_label
_atom_site_type_symbol
_atom_site_fract_x
_atom_site_fract_y
_atom_site_fract_z
Sr1 Sr 0.247 0.250 0.149
Sm1 Sm 0.078 0.250 0.388
Sm2 Sm 0.078 0.250 0.888
O1 O 0.018 0.750 0.783
O2 O 0.076 0.250 0.578
O3 O 0.128 0.750 0.022
O4 O 0.210 0.750 0.320
```

calculated volume = 446.9 Å³ per cell
spin magnetization = 0.00 μB per formula unit
total DFT energy (no corrections) = -7.636 eV per atom
formation energy from the elements = -3.612 eV/atom

Record 9
This record from the Materials Project database describes YSi2Ru2 after structural relaxation. The functional is PBE.

The structure in CIF format:
```
data_YSi2Ru2
_cell_length_a 4.188
_cell_length_b 4.188
_cell_length_c 9.572
_cell_angle_alpha 90.00
_cell_angle_beta 90.00
_cell_angle_gamma 90.00
_space_group_name_H-M_alt 'I 4/m m m'
_space_group_IT_number 139
_space_group_name_Hall '-I 4 2'
loop_
_atom_site_label
_atom_site_type_symbol
_atom_site_fract_x
_atom_site_fract_y
_atom_site_fract_z
Y1 Y 0.000 0.000 0.000
Si1 Si 0.000 0.000 0.368
Ru1 Ru 0.000 0.500 0.250
```

calculated volume = 167.8 Å³ per cell
total DFT energy (no corrections) = -8.090 eV per atom
formation energy from the elements = -0.916 eV/atom

Record 10
This record from the Materials Project database describes Nd2SiSeO4 after structural relaxation. The functional is PBE.

The structure in CIF format:
```
data_Nd2SiSeO4
_cell_length_a 6.251
_cell_length_b 7.240
_cell_length_c 11.129
_cell_angle_alpha 90.00
_cell_angle_beta 90.00
_cell_angle_gamma 90.00
_space_group_name_H-M_alt 'P b c m'
_space_group_IT_number 57
loop_
_space_group_symop_operation_xyz
'x,y,z'
'-x,-y,-z'
'-x,-y,z+1/2'
'x,y,-z+1/2'
'x,-y+1/2,-z'
'-x,y+1/2,z'
'-x,y+1/2,-z+1/2'
'x,-y+1/2,z+1/2'
loop_
_atom_site_label
_atom_site_type_symbol
_atom_site_fract_x
_atom_site_fract_y
_atom_site_fract_z
Nd1 Nd 0.109 0.250 0.000
Nd2 Nd 0.369 0.535 0.250
Si1 Si 0.386 0.750 0.000
Se1 Se 0.073 0.616 0.750
O1 O 0.228 0.575 0.032
O2 O 0.453 0.234 0.618
```

calculated volume = 503.6 Å³ per cell
spin magnetization = 0.00 μB per formula unit
total DFT energy (no corrections) = -7.759 eV per atom
formation energy from the elements = -3.322 eV/atom

Record 11
This record from the Materials Project database describes Mg7Si4 after structural relaxation. The functional is PBE.

The structure in CIF format:
```
data_Mg7Si4
_cell_length_a 3.642
_cell_length_b 8.311
_cell_length_c 15.032
_cell_angle_alpha 94.90
_cell_angle_beta 90.20
_cell_angle_gamma 90.11
_space_group_name_H-M_alt 'P 1'
_space_group_IT_number 1
loop_
_space_group_symop_operation_xyz
'x,y,z'
loop_
_atom_site_label
_atom_site_type_symbol
_atom_site_fract_x
_atom_site_fract_y
_atom_site_fract_z
Mg1 Mg 0.000 0.000 0.000
Mg2 Mg 0.000 0.225 0.502
Mg3 Mg 0.002 0.869 0.545
Mg4 Mg 0.004 0.461 0.663
Mg5 Mg 0.012 0.643 0.849
Mg6 Mg 0.496 0.236 0.106
Mg7 Mg 0.496 0.723 0.059
Mg8 Mg 0.498 0.987 0.392
Mg9 Mg 0.502 0.146 0.663
Mg10 Mg 0.502 0.559 0.497
Mg11 Mg 0.505 0.750 0.690
Mg12 Mg 0.990 0.426 0.992
Mg13 Mg 0.997 0.000 0.212
Mg14 Mg 0.997 0.506 0.194
Si1 Si 0.000 0.410 0.365
Si2 Si 0.008 0.970 0.769
Si3 Si 0.486 0.208 0.905
Si4 Si 0.497 0.753 0.253
Si5 Si 0.499 0.272 0.291
Si6 Si 0.508 0.903 0.868
Si7 Si 0.985 0.283 0.812
Si8 Si 0.998 0.712 0.356
```

calculated volume = 453.4 Å³ per cell
spin magnetization = 0.00 μB per formula unit
total DFT energy (no corrections) = -2.913 eV per atom
formation energy from the elements = 0.104 eV/atom

Record 12
This record from the Materials Project database describes SmBRh3 after structural relaxation. The functional is PBE.

The structure in CIF format:
```
data_SmBRh3
_cell_length_a 4.242
_cell_length_b 4.242
_cell_length_c 4.242
_cell_angle_alpha 90.00
_cell_angle_beta 90.00
_cell_angle_gamma 90.00
_space_group_name_H-M_alt 'P m -3 m'
_space_group_IT_number 221
_space_group_name_Hall '-P 4 2 3'
loop_
_atom_site_label
_atom_site_type_symbol
_atom_site_fract_x
_atom_site_fract_y
_atom_site_fract_z
Sm1 Sm 0.000 0.000 0.000
B1 B 0.500 0.500 0.500
Rh1 Rh 0.000 0.500 0.500
```

calculated volume = 76.3 Å³ per cell
total DFT energy (no corrections) = -7.433 eV per atom
formation energy from the elements = -0.735 eV/atom

Record 13
This record from the Materials Project database describes CsLi5B2O6 after structural relaxation. The functional is PBE.

The structure in CIF format:
```
data_CsLi5B2O6
_cell_length_a 11.903
_cell_length_b 9.551
_cell_length_c 8.180
_cell_angle_alpha 90.00
_cell_angle_beta 132.69
_cell_angle_gamma 90.00
_space_group_name_H-M_alt 'C 1 2/c 1'
_space_group_IT_number 15
loop_
_space_group_symop_operation_xyz
'x,y,z'
'-x,-y,-z'
'-x,y,-z+1/2'
'x,-y,z+1/2'
'x+1/2,y+1/2,z'
'-x+1/2,-y+1/2,-z'
'-x+1/2,y+1/2,-z+1/2'
'x+1/2,-y+1/2,z+1/2'
loop_
_atom_site_label
_atom_site_type_symbol
_atom_site_fract_x
_atom_site_fract_y
_atom_site_fract_z
Cs1 Cs 0.000 0.192 0.250
Li1 Li 0.000 0.500 0.000
Li2 Li 0.102 0.132 0.729
Li3 Li 0.113 0.317 0.960
B1 B 0.240 0.428 0.811
O1 O 0.110 0.345 0.716
O2 O 0.118 0.113 0.993
O3 O 0.219 0.449 0.202
```

calculated volume = 683.6 Å³ per cell
spin magnetization = 0.00 μB per formula unit
total DFT energy (no corrections) = -6.025 eV per atom
formation energy from the elements = -2.499 eV/atom

Record 14
This record from the Materials Project database describes GaSi3 after structural relaxation. The functional is PBE.

The structure in CIF format:
```
data_GaSi3
_cell_length_a 6.322
_cell_length_b 6.322
_cell_length_c 6.322
_cell_angle_alpha 90.00
_cell_angle_beta 90.00
_cell_angle_gamma 90.00
_space_group_name_H-M_alt 'F m -3 m'
_space_group_IT_number 225
_space_group_name_Hall '-F 4 2 3'
loop_
_atom_site_label
_atom_site_type_symbol
_atom_site_fract_x
_atom_site_fract_y
_atom_site_fract_z
Ga1 Ga 0.000 0.000 0.000
Si1 Si 0.000 0.000 0.500
Si2 Si 0.250 0.250 0.250
```

calculated volume = 252.7 Å³ per cell
spin magnetization = 0.00 μB per formula unit
total DFT energy (no corrections) = -4.360 eV per atom
formation energy from the elements = 0.519 eV/atom

Record 15
This record from the Materials Project database describes Bi2Se3 after structural relaxation. The functional is PBE.

The structure in CIF format:
```
data_Bi2Se3
_cell_length_a 11.727
_cell_length_b 6.182
_cell_length_c 6.826
_cell_angle_alpha 90.00
_cell_angle_beta 118.96
_cell_angle_gamma 90.00
_space_group_name_H-M_alt 'C 1 2/m 1'
_space_group_IT_number 12
loop_
_space_group_symop_operation_xyz
'x,y,z'
'-x,-y,-z'
'-x,y,-z'
'x,-y,z'
'x+1/2,y+1/2,z'
'-x+1/2,-y+1/2,-z'
'-x+1/2,y+1/2,-z'
'x+1/2,-y+1/2,z'
loop_
_atom_site_label
_atom_site_type_symbol
_atom_site_fract_x
_atom_site_fract_y
_atom_site_fract_z
Bi1 Bi 0.242 0.000 0.439
Se1 Se 0.000 0.500 0.500
Se2 Se 0.099 0.000 0.670
```

calculated volume = 433.0 Å³ per cell
spin magnetization = 0.00 μB per formula unit
total DFT energy (no corrections) = -3.352 eV per atom
formation energy from the elements = 0.019 eV/atom